VASP calculation (PBE-GGA) on an optimized crystal structure of K2GeTe4.

## Properties
E_tot = -3.323 eV per atom
formation energy from the elements = -76 kJ/mol of atoms

Cell: 12.875 8.803 10.218 Å, 90.00 105.06 90.00°
Element x y z (fractional)
K (0.045, 0.062, 0.214)
K (0.045, 0.438, 0.714)
K (0.341, 0.074, 0.696)
K (0.341, 0.426, 0.196)
K (0.659, 0.574, 0.804)
K (0.659, 0.926, 0.304)
K (0.955, 0.562, 0.286)
K (0.955, 0.938, 0.786)
Ge (0.258, 0.639, 0.540)
Ge (0.258, 0.861, 0.040)
Ge (0.742, 0.139, 0.960)
Ge (0.742, 0.361, 0.460)
Te (0.115, 0.659, 0.027)
Te (0.115, 0.841, 0.527)
Te (0.203, 0.137, 0.964)
Te (0.203, 0.363, 0.464)
Te (0.354, 0.533, 0.786)
Te (0.354, 0.967, 0.286)
Te (0.430, 0.724, 0.456)
Te (0.430, 0.776, 0.956)
Te (0.570, 0.224, 0.044)
Te (0.570, 0.276, 0.544)
Te (0.646, 0.033, 0.714)
Te (0.646, 0.467, 0.214)
Te (0.797, 0.637, 0.536)
Te (0.797, 0.863, 0.036)
Te (0.885, 0.159, 0.473)
Te (0.885, 0.341, 0.973)